Record 1
# PBE with a Hubbard U CaMn3Cu3RuO12, relaxed
# Magnetic moment   10.00 Bohr magnetons per cell
# Formation energy from the elements   -1.676 eV per atom
data_CaMn3Cu3RuO12
_chemical_formula_sum 'Ca1 Mn3 Cu3 Ru1 O12'
_space_group_name_H-M_alt 'P -1'
_space_group_IT_number 2
_space_group_name_Hall '-P 1'
_cell_length_a 6.404
_cell_length_b 6.479
_cell_length_c 6.480
_cell_angle_alpha 109.73
_cell_angle_beta 109.15
_cell_angle_gamma 109.29
loop_
_atom_site_label
_atom_site_fract_x
_atom_site_fract_y
_atom_site_fract_z
_atom_site_occupancy
Ca1 0.000 0.000 0.000 1
Mn1 0.000 0.000 0.500 1
Mn2 0.000 0.500 0.000 1
Mn3 0.500 0.500 0.500 1
Cu1 0.000 0.500 0.500 1
Cu2 0.500 0.000 0.500 1
Cu3 0.500 0.500 0.000 1
Ru1 0.500 0.000 0.000 1
O1 0.139 0.834 0.320 1
O2 0.172 0.698 0.860 1
O3 0.181 0.320 0.485 1
O4 0.305 0.486 0.166 1
O5 0.312 0.140 0.839 1
O6 0.474 0.162 0.302 1


Record 2
# PBE with a Hubbard U MgV3O8, relaxed
# Formation energy from the elements   -2.391 eV per atom
# E above lowest polymorph   125 meV/atom
data_MgV3O8
_chemical_formula_sum 'Mg4 V12 O32'
_space_group_name_H-M_alt 'C 1 2 1'
_space_group_IT_number 5
_space_group_name_Hall 'C 2y'
_cell_length_a 10.584
_cell_length_b 8.796
_cell_length_c 7.787
_cell_angle_alpha 90.00
_cell_angle_beta 120.07
_cell_angle_gamma 90.00
loop_
_atom_site_label
_atom_site_fract_x
_atom_site_fract_y
_atom_site_fract_z
_atom_site_occupancy
Mg1 0.116 0.000 0.297 1
V1 0.104 0.364 0.274 1
V2 0.123 0.684 0.777 1
V3 0.180 0.185 0.700 1
O1 0.000 0.375 0.000 1
O2 0.000 0.991 0.000 1
O3 0.006 0.187 0.685 1
O4 0.018 0.837 0.695 1
O5 0.022 0.520 0.703 1
O6 0.198 0.693 0.046 1
O7 0.213 0.342 0.594 1
O8 0.227 0.017 0.626 1
O9 0.234 0.191 0.280 1


Record 3
# PBE with a Hubbard U Li3V2P3O12, relaxed
# Magnetic moment   16.00 Bohr magnetons per cell
# Formation energy from the elements   -2.702 eV per atom
# E above lowest polymorph   26 meV/atom
data_Li3V2P3O12
_chemical_formula_sum 'Li12 V8 P12 O48'
_space_group_name_H-M_alt 'C 1 c 1'
_space_group_IT_number 9
_space_group_name_Hall 'C -2yc'
_cell_length_a 15.189
_cell_length_b 8.714
_cell_length_c 8.740
_cell_angle_alpha 90.00
_cell_angle_beta 124.26
_cell_angle_gamma 90.00
loop_
_atom_site_label
_atom_site_fract_x
_atom_site_fract_y
_atom_site_fract_z
_atom_site_occupancy
Li1 0.000 0.074 0.000 1
Li2 0.122 0.344 0.473 1
Li3 0.323 0.129 0.544 1
V1 0.210 0.249 0.155 1
V2 0.416 0.245 0.937 1
P1 0.174 0.112 0.752 1
P2 0.316 0.454 0.551 1
P3 0.453 0.112 0.336 1
O1 0.048 0.289 0.979 1
O2 0.073 0.192 0.590 1
O3 0.154 0.064 0.215 1
O4 0.197 0.137 0.944 1
O5 0.230 0.344 0.396 1
O6 0.252 0.447 0.102 1
O7 0.266 0.170 0.740 1
O8 0.359 0.164 0.348 1
O9 0.379 0.454 0.990 1
O10 0.402 0.354 0.715 1
O11 0.423 0.129 0.137 1
O12 0.479 0.062 0.881 1


Question: Which of these has the highest formation energy from the elements?
Answer: CaMn3Cu3RuO12